Entry 1:
# Cs11O3

Crystalline Cs11O3 at its relaxed geometry (PBE-GGA, the Materials Project).

V = 3992 Å³ per cell
Calculated total energy = -2.408 eV per atom
Crystal system = monoclinic
Calculated density = 2.5 g/cm3
ΔE_f = -0.792 eV/atom

Lattice parameters (Å, degrees): 9.350 17.827 24.333 79.80 90.00 90.00
Fractional coordinates of all 56 atoms:
Cs  0.886  0.220  0.677
Cs  0.197  0.934  0.432
Cs  0.263  0.684  0.969
Cs  0.070  0.436  0.618
Cs  0.329  0.849  0.651
Cs  0.386  0.780  0.823
Cs  0.581  0.761  0.169
Cs  0.605  0.838  0.454
Cs  0.981  0.303  0.159
Cs  0.930  0.564  0.382
Cs  0.895  0.838  0.954
Cs  0.237  0.684  0.469
Cs  0.803  0.066  0.568
Cs  0.763  0.316  0.531
Cs  0.697  0.066  0.068
Cs  0.667  0.526  0.599
Cs  0.105  0.162  0.046
Cs  0.019  0.697  0.841
Cs  0.558  0.091  0.717
Cs  0.114  0.780  0.323
Cs  0.671  0.151  0.349
Cs  0.833  0.526  0.099
Cs  0.303  0.934  0.932
Cs  0.737  0.316  0.031
Cs  0.442  0.909  0.283
Cs  0.395  0.162  0.546
Cs  0.220  0.620  0.243
Cs  0.167  0.474  0.901
Cs  0.419  0.239  0.831
Cs  0.430  0.436  0.118
Cs  0.171  0.849  0.151
Cs  0.614  0.220  0.177
Cs  0.829  0.151  0.849
Cs  0.058  0.909  0.783
Cs  0.780  0.380  0.757
Cs  0.333  0.474  0.401
Cs  0.519  0.303  0.659
Cs  0.481  0.697  0.341
Cs  0.280  0.620  0.743
Cs  0.720  0.380  0.257
Cs  0.570  0.564  0.882
Cs  0.942  0.091  0.217
Cs  0.081  0.239  0.331
Cs  0.919  0.761  0.669
O  0.342  0.776  0.236
O  0.705  0.383  0.135
O  0.145  0.820  0.895
O  0.355  0.820  0.395
O  0.795  0.383  0.635
O  0.295  0.617  0.865
O  0.158  0.776  0.736
O  0.855  0.180  0.105
O  0.658  0.224  0.764
O  0.645  0.180  0.605
O  0.842  0.224  0.264
O  0.205  0.617  0.365

***

Entry 2:
# Cs2O3

Crystalline Cs2O3 at its relaxed geometry (PBE-GGA, the Materials Project).

V = 100 Å³ per cell
Calculated total energy = -3.315 eV per atom
Crystal system = cubic
Calculated density = 5.2 g/cm3
ΔE_f = -0.400 eV/atom

Lattice parameters (Å, degrees): 4.642 4.642 4.642 90.00 90.00 90.00
Fractional coordinates of all 5 atoms:
Cs  0.000  0.000  0.000
Cs  0.500  0.500  0.500
O  0.500  0.500  0.000
O  0.500  0.000  0.500
O  0.000  0.500  0.500